# 1
# Ca8V7ZnBiO28

An optimized crystal structure of Ca8V7ZnBiO28 (PBE+U, the Materials Project).

The structure in CIF format:
```
data_Ca8V7ZnBiO28
_cell_length_a 18.933
_cell_length_b 10.960
_cell_length_c 14.174
_cell_angle_alpha 90.00
_cell_angle_beta 116.49
_cell_angle_gamma 90.00
_space_group_name_H-M_alt 'C 1 c 1'
_space_group_IT_number 9
loop_
_space_group_symop_operation_xyz
'x,y,z'
'x,-y,z+1/2'
'x+1/2,y+1/2,z'
'x+1/2,-y+1/2,z+1/2'
loop_
_atom_site_label
_atom_site_fract_x
_atom_site_fract_y
_atom_site_fract_z
_atom_site_occupancy
Ca1 0.000 0.030 0.000 1
Ca2 0.060 0.248 0.401 1
Ca3 0.170 0.236 0.718 1
Ca4 0.266 0.452 0.400 1
Ca5 0.268 0.047 0.400 1
Ca6 0.368 0.456 0.724 1
Ca7 0.379 0.053 0.721 1
Ca8 0.485 0.046 0.500 1
V1 0.064 0.495 0.792 1
V2 0.081 0.023 0.791 1
V3 0.175 0.481 0.604 1
V4 0.194 0.001 0.103 1
V5 0.338 0.267 0.291 1
V6 0.365 0.248 0.902 1
V7 0.425 0.269 0.604 1
Zn1 0.128 0.250 0.196 1
Bi1 0.208 0.267 0.997 1
O1 0.008 0.244 0.079 1
O2 0.010 0.016 0.834 1
O3 0.012 0.468 0.363 1
O4 0.047 0.070 0.664 1
O5 0.105 0.366 0.566 1
O6 0.124 0.123 0.307 1
O7 0.125 0.377 0.307 1
O8 0.127 0.366 0.836 1
O9 0.127 0.378 0.081 1
O10 0.133 0.128 0.080 1
O11 0.138 0.124 0.541 1
O12 0.165 0.120 0.862 1
O13 0.234 0.482 0.540 1
O14 0.237 0.458 0.736 1
O15 0.242 0.035 0.735 1
O16 0.251 0.249 0.305 1
O17 0.267 0.037 0.064 1
O18 0.297 0.323 0.939 1
O19 0.317 0.302 0.163 1
O20 0.319 0.250 0.765 1
O21 0.361 0.150 0.542 1
O22 0.379 0.096 0.938 1
O23 0.380 0.401 0.362 1
O24 0.385 0.413 0.565 1
O25 0.391 0.133 0.336 1
O26 0.451 0.256 0.736 1
O27 0.452 0.329 0.938 1
O28 0.495 0.017 0.165 1
```

Calculated values
DFT formation energy   -2816 meV per atom
Theoretical density   3.53 g cm⁻³

=====

# 2
# LiVO3

An optimized crystal structure of LiVO3 (PBE+U, the Materials Project).

The structure in CIF format:
```
data_LiVO3
_cell_length_a 12.870
_cell_length_b 2.890
_cell_length_c 6.068
_cell_angle_alpha 90.00
_cell_angle_beta 104.03
_cell_angle_gamma 90.00
_space_group_name_H-M_alt 'C 1 2/m 1'
_space_group_IT_number 12
loop_
_space_group_symop_operation_xyz
'x,y,z'
'-x,-y,-z'
'-x,y,-z'
'x,-y,z'
'x+1/2,y+1/2,z'
'-x+1/2,-y+1/2,-z'
'-x+1/2,y+1/2,-z'
'x+1/2,-y+1/2,z'
loop_
_atom_site_label
_atom_site_fract_x
_atom_site_fract_y
_atom_site_fract_z
_atom_site_occupancy
Li1 0.000 0.000 0.000 1
Li2 0.000 0.000 0.500 1
V1 0.164 0.500 0.309 1
O1 0.025 0.500 0.264 1
O2 0.172 0.000 0.124 1
O3 0.176 0.000 0.544 1
```

Calculated values
DFT formation energy   -2317 meV per atom
Theoretical density   3.21 g cm⁻³

=====

# 3
# Al3Cr3Sb2O16

An optimized crystal structure of Al3Cr3Sb2O16 (PBE+U, the Materials Project).

The structure in CIF format:
```
data_Al3Cr3Sb2O16
_cell_length_a 9.992
_cell_length_b 5.818
_cell_length_c 9.296
_cell_angle_alpha 90.00
_cell_angle_beta 90.47
_cell_angle_gamma 90.00
_space_group_name_H-M_alt 'C 1 m 1'
_space_group_IT_number 8
loop_
_space_group_symop_operation_xyz
'x,y,z'
'x,-y,z'
'x+1/2,y+1/2,z'
'x+1/2,-y+1/2,z'
loop_
_atom_site_label
_atom_site_fract_x
_atom_site_fract_y
_atom_site_fract_z
_atom_site_occupancy
Al1 0.000 0.000 0.000 1
Al2 0.415 0.248 0.501 1
Cr1 0.163 0.500 0.522 1
Cr2 0.246 0.248 0.014 1
Sb1 0.163 0.000 0.292 1
Sb2 0.494 0.000 0.788 1
O1 0.007 0.500 0.408 1
O2 0.075 0.283 0.635 1
O3 0.092 0.215 0.132 1
O4 0.164 0.500 0.899 1
O5 0.167 0.000 0.907 1
O6 0.251 0.248 0.401 1
O7 0.313 0.000 0.138 1
O8 0.331 0.500 0.598 1
O9 0.336 0.500 0.098 1
O10 0.358 0.000 0.627 1
O11 0.417 0.254 0.900 1
O12 0.496 0.500 0.403 1
```

Calculated values
DFT formation energy   -2271 meV per atom
Theoretical density   4.53 g cm⁻³

=====

# 4
# Li3Fe3P4O16

An optimized crystal structure of Li3Fe3P4O16 (PBE+U, the Materials Project).

The structure in CIF format:
```
data_Li3Fe3P4O16
_cell_length_a 8.089
_cell_length_b 8.880
_cell_length_c 13.234
_cell_angle_alpha 84.82
_cell_angle_beta 89.83
_cell_angle_gamma 89.79
_space_group_name_H-M_alt 'P 1'
_space_group_IT_number 1
loop_
_space_group_symop_operation_xyz
'x,y,z'
loop_
_atom_site_label
_atom_site_fract_x
_atom_site_fract_y
_atom_site_fract_z
_atom_site_occupancy
Li1 0.000 0.000 0.000 1
Li2 0.000 0.321 0.668 1
Li3 0.004 0.671 0.330 1
Li4 0.269 0.182 0.012 1
Li5 0.274 0.853 0.341 1
Li6 0.501 0.016 0.676 1
Li7 0.501 0.364 0.340 1
Li8 0.772 0.835 0.665 1
Li9 0.774 0.489 0.998 1
Fe1 0.119 0.591 0.003 1
Fe2 0.127 0.941 0.676 1
Fe3 0.154 0.264 0.338 1
Fe4 0.278 0.527 0.671 1
Fe5 0.493 0.693 0.005 1
Fe6 0.631 0.747 0.332 1
Fe7 0.643 0.106 0.008 1
Fe8 0.654 0.423 0.665 1
Fe9 0.781 0.161 0.336 1
P1 0.320 0.906 0.889 1
P2 0.330 0.575 0.226 1
P3 0.338 0.238 0.559 1
P4 0.433 0.404 0.894 1
P5 0.447 0.069 0.225 1
P6 0.453 0.739 0.555 1
P7 0.825 0.114 0.785 1
P8 0.827 0.785 0.115 1
P9 0.840 0.449 0.447 1
P10 0.942 0.618 0.781 1
P11 0.943 0.280 0.115 1
P12 0.954 0.948 0.452 1
O1 0.004 0.104 0.740 1
O2 0.013 0.434 0.400 1
O3 0.061 0.169 0.074 1
O4 0.068 0.838 0.408 1
O5 0.069 0.508 0.736 1
O6 0.207 0.015 0.936 1
O7 0.212 0.685 0.266 1
O8 0.217 0.353 0.603 1
O9 0.260 0.420 0.941 1
O10 0.272 0.739 0.605 1
O11 0.274 0.076 0.588 1
O12 0.275 0.090 0.274 1
O13 0.276 0.733 0.921 1
O14 0.280 0.406 0.249 1
O15 0.326 0.928 0.773 1
O16 0.334 0.605 0.105 1
O17 0.338 0.271 0.442 1
O18 0.434 0.441 0.775 1
O19 0.448 0.759 0.438 1
O20 0.449 0.105 0.109 1
O21 0.497 0.242 0.919 1
O22 0.497 0.566 0.589 1
O23 0.501 0.903 0.252 1
O24 0.501 0.905 0.939 1
O25 0.509 0.582 0.268 1
O26 0.511 0.253 0.607 1
O27 0.556 0.519 0.935 1
O28 0.566 0.848 0.600 1
O29 0.572 0.177 0.271 1
O30 0.702 0.676 0.068 1
O31 0.709 0.004 0.742 1
O32 0.718 0.335 0.404 1
O33 0.764 0.272 0.071 1
O34 0.771 0.599 0.731 1
O35 0.772 0.950 0.089 1
O36 0.774 0.948 0.402 1
O37 0.776 0.283 0.756 1
O38 0.776 0.612 0.420 1
O39 0.825 0.088 0.903 1
O40 0.826 0.748 0.231 1
O41 0.839 0.416 0.564 1
O42 0.939 0.249 0.235 1
O43 0.939 0.581 0.898 1
O44 0.946 0.928 0.569 1
O45 0.993 0.448 0.092 1
O46 0.998 0.782 0.755 1
O47 0.999 0.120 0.419 1
O48 0.999 0.765 0.066 1
```

Calculated values
DFT formation energy   -2459 meV per atom
Theoretical density   2.99 g cm⁻³

=====

# 5
# Mn6O5F7

An optimized crystal structure of Mn6O5F7 (PBE+U, the Materials Project).

The structure in CIF format:
```
data_Mn6O5F7
_cell_length_a 5.680
_cell_length_b 5.680
_cell_length_c 7.384
_cell_angle_alpha 73.16
_cell_angle_beta 73.35
_cell_angle_gamma 72.76
_space_group_name_H-M_alt 'P 1'
_space_group_IT_number 1
loop_
_space_group_symop_operation_xyz
'x,y,z'
loop_
_atom_site_label
_atom_site_fract_x
_atom_site_fract_y
_atom_site_fract_z
_atom_site_occupancy
Mn1 0.000 0.000 0.000 1
Mn2 0.001 0.916 0.478 1
Mn3 0.318 0.296 0.657 1
Mn4 0.324 0.309 0.158 1
Mn5 0.644 0.624 0.333 1
Mn6 0.688 0.614 0.832 1
O1 0.103 0.085 0.188 1
O2 0.293 0.629 0.494 1
O3 0.559 0.522 0.119 1
O4 0.768 0.705 0.544 1
O5 0.987 0.327 0.827 1
F1 0.018 0.627 0.162 1
F2 0.220 0.163 0.459 1
F3 0.387 0.934 0.818 1
F4 0.437 0.389 0.864 1
F5 0.626 0.000 0.165 1
F6 0.686 0.228 0.503 1
F7 0.914 0.873 0.804 1
```

Calculated values
DFT formation energy   -2421 meV per atom
Theoretical density   4.24 g cm⁻³

=====

# 6
# Li2Mn3F8

An optimized crystal structure of Li2Mn3F8 (PBE+U, the Materials Project).

The structure in CIF format:
```
data_Li2Mn3F8
_cell_length_a 5.383
_cell_length_b 5.801
_cell_length_c 6.123
_cell_angle_alpha 71.68
_cell_angle_beta 89.80
_cell_angle_gamma 63.23
_space_group_name_H-M_alt 'P -1'
_space_group_IT_number 2
loop_
_space_group_symop_operation_xyz
'x,y,z'
'-x,-y,-z'
loop_
_atom_site_label
_atom_site_fract_x
_atom_site_fract_y
_atom_site_fract_z
_atom_site_occupancy
Li1 0.061 0.405 0.248 1
Mn1 0.270 0.963 0.854 1
Mn2 0.500 0.500 0.500 1
F1 0.181 0.737 0.181 1
F2 0.215 0.723 0.688 1
F3 0.284 0.229 0.043 1
F4 0.288 0.257 0.552 1
```

Calculated values
DFT formation energy   -3003 meV per atom
Theoretical density   3.43 g cm⁻³

=====

# 7
# SrCa7Mn7CrO22

An optimized crystal structure of SrCa7Mn7CrO22 (PBE+U, the Materials Project).

The structure in CIF format:
```
data_SrCa7Mn7CrO22
_cell_length_a 10.847
_cell_length_b 10.871
_cell_length_c 15.622
_cell_angle_alpha 90.34
_cell_angle_beta 90.02
_cell_angle_gamma 90.74
_space_group_name_H-M_alt 'P 1'
_space_group_IT_number 1
loop_
_space_group_symop_operation_xyz
'x,y,z'
loop_
_atom_site_label
_atom_site_fract_x
_atom_site_fract_y
_atom_site_fract_z
_atom_site_occupancy
Sr1 0.000 0.000 0.000 1
Sr2 0.015 0.008 0.268 1
Sr3 0.257 0.770 0.995 1
Sr4 0.757 0.267 0.268 1
Ca1 0.006 0.544 0.995 1
Ca2 0.008 0.508 0.274 1
Ca3 0.010 0.510 0.743 1
Ca4 0.011 0.540 0.507 1
Ca5 0.011 0.992 0.753 1
Ca6 0.015 0.036 0.512 1
Ca7 0.240 0.304 0.008 1
Ca8 0.254 0.786 0.510 1
Ca9 0.256 0.289 0.506 1
Ca10 0.258 0.261 0.273 1
Ca11 0.258 0.263 0.739 1
Ca12 0.258 0.732 0.270 1
Ca13 0.266 0.738 0.755 1
Ca14 0.491 0.992 0.988 1
Ca15 0.500 0.002 0.280 1
Ca16 0.506 0.509 0.744 1
Ca17 0.506 0.991 0.752 1
Ca18 0.507 0.501 0.268 1
Ca19 0.511 0.549 0.003 1
Ca20 0.513 0.037 0.511 1
Ca21 0.514 0.538 0.506 1
Ca22 0.739 0.314 0.008 1
Ca23 0.753 0.784 0.510 1
Ca24 0.755 0.290 0.506 1
Ca25 0.757 0.262 0.738 1
Ca26 0.757 0.733 0.269 1
Ca27 0.764 0.736 0.753 1
Ca28 0.764 0.762 0.991 1
Mn1 0.007 0.770 0.385 1
Mn2 0.008 0.268 0.388 1
Mn3 0.008 0.770 0.631 1
Mn4 0.010 0.268 0.628 1
Mn5 0.015 0.296 0.139 1
Mn6 0.228 0.032 0.123 1
Mn7 0.254 0.510 0.879 1
Mn8 0.259 0.518 0.628 1
Mn9 0.260 0.016 0.389 1
Mn10 0.260 0.516 0.386 1
Mn11 0.261 0.019 0.633 1
Mn12 0.262 0.515 0.133 1
Mn13 0.266 0.013 0.875 1
Mn14 0.492 0.276 0.866 1
Mn15 0.506 0.282 0.135 1
Mn16 0.506 0.768 0.384 1
Mn17 0.507 0.264 0.387 1
Mn18 0.507 0.769 0.630 1
Mn19 0.511 0.268 0.628 1
Mn20 0.512 0.760 0.874 1
Mn21 0.517 0.760 0.137 1
Mn22 0.752 0.513 0.878 1
Mn23 0.758 0.518 0.629 1
Mn24 0.758 0.519 0.386 1
Mn25 0.761 0.017 0.393 1
Mn26 0.761 0.018 0.635 1
Mn27 0.761 0.525 0.131 1
Mn28 0.989 0.275 0.865 1
Cr1 0.010 0.760 0.874 1
Cr2 0.026 0.747 0.136 1
Cr3 0.692 0.029 0.115 1
Cr4 0.766 0.003 0.872 1
O1 0.034 0.270 0.261 1
O2 0.044 0.775 0.263 1
O3 0.047 0.285 0.750 1
O4 0.051 0.770 0.751 1
O5 0.094 0.914 0.127 1
O6 0.101 0.392 0.910 1
O7 0.107 0.428 0.099 1
O8 0.111 0.172 0.090 1
O9 0.111 0.916 0.616 1
O10 0.112 0.914 0.403 1
O11 0.115 0.411 0.404 1
O12 0.115 0.412 0.607 1
O13 0.122 0.912 0.890 1
O14 0.148 0.646 0.894 1
O15 0.150 0.661 0.610 1
O16 0.152 0.162 0.398 1
O17 0.152 0.662 0.401 1
O18 0.156 0.166 0.610 1
O19 0.180 0.673 0.125 1
O20 0.221 0.050 0.761 1
O21 0.224 0.511 0.259 1
O22 0.225 0.514 0.754 1
O23 0.258 0.045 0.240 1
O24 0.283 0.023 0.006 1
O25 0.296 0.004 0.514 1
O26 0.297 0.514 0.007 1
O27 0.298 0.512 0.506 1
O28 0.336 0.352 0.874 1
O29 0.341 0.350 0.139 1
O30 0.362 0.873 0.360 1
O31 0.362 0.875 0.657 1
O32 0.368 0.376 0.368 1
O33 0.369 0.378 0.646 1
O34 0.376 0.866 0.863 1
O35 0.398 0.628 0.650 1
O36 0.400 0.123 0.374 1
O37 0.401 0.624 0.362 1
O38 0.404 0.612 0.861 1
O39 0.406 0.125 0.654 1
O40 0.413 0.614 0.155 1
O41 0.423 0.117 0.873 1
O42 0.470 0.256 0.509 1
O43 0.470 0.762 0.506 1
O44 0.486 0.768 0.012 1
O45 0.525 0.254 0.259 1
O46 0.542 0.781 0.259 1
O47 0.547 0.285 0.751 1
O48 0.547 0.945 0.131 1
O49 0.548 0.768 0.753 1
O50 0.600 0.399 0.910 1
O51 0.610 0.163 0.069 1
O52 0.611 0.916 0.399 1
O53 0.611 0.916 0.617 1
O54 0.612 0.426 0.108 1
O55 0.615 0.409 0.399 1
O56 0.615 0.412 0.607 1
O57 0.618 0.909 0.892 1
O58 0.650 0.661 0.612 1
O59 0.651 0.159 0.399 1
O60 0.651 0.653 0.895 1
O61 0.652 0.663 0.400 1
O62 0.657 0.166 0.610 1
O63 0.682 0.684 0.121 1
O64 0.718 0.048 0.762 1
O65 0.720 0.514 0.754 1
O66 0.725 0.515 0.258 1
O67 0.773 0.043 0.210 1
O68 0.776 0.985 0.020 1
O69 0.792 0.523 0.005 1
O70 0.794 0.514 0.507 1
O71 0.799 0.002 0.517 1
O72 0.834 0.355 0.874 1
O73 0.854 0.357 0.133 1
O74 0.861 0.876 0.360 1
O75 0.863 0.876 0.660 1
O76 0.864 0.863 0.862 1
O77 0.869 0.379 0.646 1
O78 0.872 0.383 0.371 1
O79 0.896 0.129 0.369 1
O80 0.899 0.628 0.365 1
O81 0.899 0.628 0.650 1
O82 0.902 0.608 0.858 1
O83 0.905 0.126 0.657 1
O84 0.911 0.617 0.160 1
O85 0.915 0.118 0.876 1
O86 0.968 0.253 0.509 1
O87 0.968 0.762 0.508 1
O88 0.980 0.760 0.010 1
```

Calculated values
DFT formation energy   -2521 meV per atom
Theoretical density   4.17 g cm⁻³

=====

# 8
# MgFe3O4

An optimized crystal structure of MgFe3O4 (PBE+U, the Materials Project).

The structure in CIF format:
```
data_MgFe3O4
_cell_length_a 3.0448
_cell_length_b 3.0448
_cell_length_c 30.3909
_cell_angle_alpha 90.00
_cell_angle_beta 90.00
_cell_angle_gamma 120.00
_space_group_name_H-M_alt 'R -3 m'
_space_group_IT_number 166
_space_group_name_Hall '-R 3 2"'
loop_
_atom_site_label
_atom_site_fract_x
_atom_site_fract_y
_atom_site_fract_z
_atom_site_occupancy
Mg1 0.0000 0.0000 0.0000 1
Fe1 0.0000 0.0000 0.2508 1
Fe2 0.0000 0.0000 0.5000 1
O1 0.0000 0.0000 0.1246 1
O2 0.0000 0.0000 0.3728 1
```

Calculated values
DFT formation energy   -1650 meV per atom
Theoretical density   5.22 g cm⁻³